[1]
## CsDy2Cl7 (PBE)

Data for crystalline CsDy2Cl7 at its relaxed geometry.

Unit cell a=7.065 b=12.761 c=13.980 alpha=90.00 beta=90.00 gamma=90.00
Sites, in units of the cell vectors:
Cl (0.513, 0.694, 0.821)
Cl (0.010, 0.460, 0.637)
Cl (0.009, 0.575, 0.127)
Cl (0.013, 0.194, 0.679)
Cl (0.250, 0.311, 0.386)
Cl (0.491, 0.575, 0.127)
Cl (0.490, 0.040, 0.137)
Cl (0.750, 0.689, 0.614)
Cl (0.250, 0.189, 0.886)
Cl (0.487, 0.306, 0.179)
Cl (0.991, 0.425, 0.873)
Cl (0.490, 0.460, 0.637)
Cl (0.009, 0.925, 0.627)
Cl (0.487, 0.194, 0.679)
Cl (0.990, 0.960, 0.863)
Cl (0.509, 0.425, 0.873)
Cl (0.510, 0.540, 0.363)
Cl (0.510, 0.960, 0.863)
Cl (0.750, 0.811, 0.114)
Cl (0.513, 0.806, 0.321)
Cl (0.990, 0.540, 0.363)
Cl (0.013, 0.306, 0.179)
Cl (0.991, 0.075, 0.373)
Cl (0.010, 0.040, 0.137)
Cl (0.491, 0.925, 0.627)
Cl (0.987, 0.694, 0.821)
Cl (0.987, 0.806, 0.321)
Cl (0.509, 0.075, 0.373)
Dy (0.250, 0.459, 0.238)
Dy (0.250, 0.344, 0.750)
Dy (0.750, 0.541, 0.762)
Dy (0.750, 0.844, 0.750)
Dy (0.750, 0.959, 0.262)
Dy (0.750, 0.656, 0.250)
Dy (0.250, 0.041, 0.738)
Dy (0.250, 0.156, 0.250)
Cs (0.750, 0.304, 0.458)
Cs (0.250, 0.804, 0.042)
Cs (0.750, 0.196, 0.958)
Cs (0.250, 0.696, 0.542)

Summary:
Energy with MP2020 corrections, eV/atom: -5.006
Space-group type: Pnma, No. 62
E_form, eV/atom: -2.702

=====

[2]
## Cs3DyCl6 (PBE)

Data for crystalline Cs3DyCl6 at its relaxed geometry.

Unit cell a=8.392 b=8.392 c=8.392 alpha=60.00 beta=60.00 gamma=60.00
Sites, in units of the cell vectors:
Cl (0.222, 0.778, 0.222)
Cl (0.778, 0.222, 0.778)
Cl (0.222, 0.778, 0.778)
Cl (0.778, 0.222, 0.222)
Cl (0.222, 0.222, 0.778)
Cl (0.778, 0.778, 0.222)
Dy (0.000, 0.000, 0.000)
Cs (0.500, 0.500, 0.500)
Cs (0.750, 0.750, 0.750)
Cs (0.250, 0.250, 0.250)

Summary:
Energy with MP2020 corrections, eV/atom: -4.324
Space-group type: Fm-3m, No. 225
E_form, eV/atom: -2.485
Spin magnetization, μB per formula unit: 0.00

=====

[3]
## Cs2KDyCl6 (PBE)

Data for crystalline Cs2KDyCl6 at its relaxed geometry.

Unit cell a=8.022 b=8.022 c=8.022 alpha=60.00 beta=60.00 gamma=60.00
Sites, in units of the cell vectors:
Cs (0.750, 0.750, 0.750)
Cs (0.250, 0.250, 0.250)
Cl (0.767, 0.233, 0.767)
Cl (0.233, 0.767, 0.233)
Cl (0.233, 0.767, 0.767)
Cl (0.767, 0.767, 0.233)
Cl (0.767, 0.233, 0.233)
Cl (0.233, 0.233, 0.767)
Dy (0.000, 0.000, 0.000)
K (0.500, 0.500, 0.500)

Summary:
Energy with MP2020 corrections, eV/atom: -4.381
Space-group type: Fm-3m, No. 225
E_form, eV/atom: -2.521

=====

> The lowest E_form belongs to which entry?

CsDy2Cl7